# SnP4O12 (PBE, relaxed)
data_SnP4O12
_chemical_formula_sum 'Sn4 P16 O48'
_cell_length_a 13.173
_cell_length_b 8.307
_cell_length_c 9.397
_cell_angle_alpha 90.00
_cell_angle_beta 90.00
_cell_angle_gamma 90.00
_space_group_name_H-M_alt 'P b c n'
_space_group_IT_number 60
_space_group_name_Hall '-P 2n 2ab'
loop_
_atom_site_label
_atom_site_fract_x
_atom_site_fract_y
_atom_site_fract_z
Sn1 0.000 0.147 0.250
P1 0.147 0.322 0.006
P2 0.151 0.040 0.518
O1 0.069 0.036 0.632
O2 0.070 0.314 0.128
O3 0.123 0.138 0.387
O4 0.126 0.412 0.877
O5 0.181 0.136 0.971
O6 0.249 0.117 0.587
# Energy above the most stable polymorph in this dataset (meV per atom): 0
# Energy of formation from the pure elements (kJ/mol of formula units): -4078
# Crystal system: orthorhombic